[1]
VASP calculation (PBE) on a relaxed Na3Ga3Ge3O16 crystal.

Unit cell a=9.2325 b=9.2325 c=9.2325 alpha=90.92 beta=90.92 gamma=90.92
Closest atoms and distances in Å follow each position.
Sites, in units of the cell vectors:
Na (0.1712, 0.8282, 0.8295)  5 O 2.28-2.55
Na (0.6712, 0.3295, 0.3282)  5 O 2.28-2.55
Na (0.8282, 0.8295, 0.1712)  5 O 2.28-2.55
Na (0.3295, 0.3282, 0.6712)  5 O 2.28-2.55
Na (0.3282, 0.6712, 0.3295)  5 O 2.28-2.55
Na (0.8295, 0.1712, 0.8282)  5 O 2.28-2.55
Ge (0.9986, 0.5030, 0.7507)  4 O 1.76-1.78
Ge (0.4986, 0.2507, 0.0030)  4 O 1.76-1.78
Ge (0.5030, 0.7507, 0.9986)  4 O 1.76-1.78
Ge (0.0030, 0.4986, 0.2507)  4 O 1.76-1.78
Ge (0.7507, 0.9986, 0.5030)  4 O 1.76-1.78
Ge (0.2507, 0.0030, 0.4986)  4 O 1.76-1.78
O (0.0842, 0.3696, 0.6428)  1 Ge 1.78, 1 Ga 1.87
O (0.3639, 0.0830, 0.6370)  1 Ge 1.78, 1 Ga 1.86
O (0.3696, 0.6428, 0.0842)  1 Ge 1.78, 1 Ga 1.87
O (0.6453, 0.6533, 0.9213)  1 Ge 1.76, 1 Ga 1.84
O (0.6370, 0.3639, 0.0830)  1 Ge 1.78, 1 Ga 1.86
O (0.5703, 0.5712, 0.4146)  1 O 1.75
O (0.9146, 0.0712, 0.0703)  1 O 1.75
O (0.9157, 0.3629, 0.3537)  1 Ge 1.78, 1 Ga 1.86
O (0.4146, 0.5703, 0.5712)  1 O 1.75
O (0.4157, 0.8537, 0.8629)  1 Ge 1.78, 1 Ga 1.86
O (0.8696, 0.5842, 0.1428)  1 Ge 1.78, 1 Ga 1.87
O (0.5712, 0.4146, 0.5703)  1 O 1.75
O (0.0830, 0.6370, 0.3639)  1 Ge 1.78, 1 Ga 1.86
O (0.4372, 0.4372, 0.4372)  3 O 1.75
O (0.0712, 0.0703, 0.9146)  1 O 1.75
O (0.8629, 0.4157, 0.8537)  1 Ge 1.78, 1 Ga 1.86
O (0.8639, 0.1370, 0.5830)  1 Ge 1.78, 1 Ga 1.86
O (0.0703, 0.9146, 0.0712)  1 O 1.75
O (0.8537, 0.8629, 0.4157)  1 Ge 1.78, 1 Ga 1.86
O (0.5842, 0.1428, 0.8696)  1 Ge 1.78, 1 Ga 1.87
O (0.3537, 0.9157, 0.3629)  1 Ge 1.78, 1 Ga 1.86
O (0.9372, 0.9372, 0.9372)  3 O 1.75
O (0.1533, 0.1453, 0.4213)  1 Ge 1.76, 1 Ga 1.84
O (0.9213, 0.6453, 0.6533)  1 Ge 1.76, 1 Ga 1.84
O (0.1428, 0.8696, 0.5842)  1 Ge 1.78, 1 Ga 1.87
O (0.4213, 0.1533, 0.1453)  1 Ge 1.76, 1 Ga 1.84
O (0.6533, 0.9213, 0.6453)  1 Ge 1.76, 1 Ga 1.84
O (0.5830, 0.8639, 0.1370)  1 Ge 1.78, 1 Ga 1.86
O (0.1370, 0.5830, 0.8639)  1 Ge 1.78, 1 Ga 1.86
O (0.3629, 0.3537, 0.9157)  1 Ge 1.78, 1 Ga 1.86
O (0.1453, 0.4213, 0.1533)  1 Ge 1.76, 1 Ga 1.84
O (0.6428, 0.0842, 0.3696)  1 Ge 1.78, 1 Ga 1.87
Ga (0.2516, 0.4950, 0.0037)  4 O 1.84-1.87
Ga (0.0037, 0.2516, 0.4950)  4 O 1.84-1.87
Ga (0.5037, 0.9950, 0.7516)  4 O 1.84-1.87
Ga (0.9950, 0.7516, 0.5037)  4 O 1.84-1.87
Ga (0.7516, 0.5037, 0.9950)  4 O 1.84-1.87
Ga (0.4950, 0.0037, 0.2516)  4 O 1.84-1.87

Values from the calculation:
corrected total energy (MP2020 scheme): -294.26 eV/cell
energy: -5.45 eV/atom
formation enthalpy at 0 K: -1.64 eV per atom
symmetry: R3c (161)

---

[2]
VASP calculation (PBE) on a relaxed BaGa2Ge2O8 crystal.

Unit cell a=10.0720 b=8.9109 c=9.4806 alpha=89.62 beta=90.00 gamma=90.00
Closest atoms and distances in Å follow each position.
Sites, in units of the cell vectors:
Ba (0.9126, 0.2506, 0.6088)  7 O 2.77-2.85
Ba (0.0874, 0.7494, 0.3912)  7 O 2.77-2.85
Ba (0.4126, 0.7494, 0.8912)  7 O 2.77-2.85
Ba (0.5874, 0.2506, 0.1088)  7 O 2.77-2.85
Ga (0.3075, 0.4292, 0.5617)  4 O 1.83-1.87
Ga (0.6925, 0.5708, 0.4383)  4 O 1.83-1.87
Ga (0.0796, 0.9323, 0.7713)  4 O 1.84-1.88
Ga (0.9204, 0.0677, 0.2287)  4 O 1.84-1.88
Ga (0.8075, 0.5708, 0.9383)  4 O 1.83-1.87
Ga (0.5796, 0.0677, 0.7287)  4 O 1.84-1.88
Ga (0.1925, 0.4292, 0.0617)  4 O 1.83-1.87
Ga (0.4204, 0.9323, 0.2713)  4 O 1.84-1.88
O (0.8082, 0.0691, 0.0754)  1 Ge 1.78, 1 Ga 1.84
O (0.8081, 0.4361, 0.0897)  1 Ge 1.76, 1 Ga 1.87
O (0.9132, 0.2554, 0.3142)  1 Ge 1.78, 1 Ga 1.86
O (0.3082, 0.9309, 0.4246)  1 Ge 1.78, 1 Ga 1.84
O (0.5773, 0.4933, 0.3028)  1 Ge 1.77, 1 Ga 1.87
O (0.5868, 0.2554, 0.8142)  1 Ge 1.78, 1 Ga 1.86
O (0.9227, 0.4933, 0.8028)  1 Ge 1.77, 1 Ga 1.87
O (0.6327, 0.5576, 0.8744)  1 Ge 1.78, 1 Ga 1.87
O (0.1457, 0.2400, 0.0051)  1 Ge 1.75, 1 Ga 1.83
O (0.4132, 0.7446, 0.1858)  1 Ge 1.78, 1 Ga 1.86
O (0.1327, 0.4424, 0.6256)  1 Ge 1.78, 1 Ga 1.87
O (0.6457, 0.7600, 0.4949)  1 Ge 1.75, 1 Ga 1.83
O (0.1918, 0.9309, 0.9246)  1 Ge 1.78, 1 Ga 1.84
O (0.8543, 0.7600, 0.9949)  1 Ge 1.75, 1 Ga 1.83
O (0.6353, 0.9421, 0.8769)  1 Ge 1.78, 1 Ga 1.88
O (0.9105, 0.0074, 0.8006)  1 Ge 1.79, 1 Ga 1.85
O (0.5895, 0.0074, 0.3006)  1 Ge 1.79, 1 Ga 1.85
O (0.3673, 0.4424, 0.1256)  1 Ge 1.78, 1 Ga 1.87
O (0.3647, 0.0579, 0.1231)  1 Ge 1.78, 1 Ga 1.88
O (0.1919, 0.5639, 0.9103)  1 Ge 1.76, 1 Ga 1.87
O (0.3543, 0.2400, 0.5051)  1 Ge 1.75, 1 Ga 1.83
O (0.0895, 0.9926, 0.1994)  1 Ge 1.79, 1 Ga 1.85
O (0.6919, 0.4361, 0.5897)  1 Ge 1.76, 1 Ga 1.87
O (0.0773, 0.5067, 0.1972)  1 Ge 1.77, 1 Ga 1.87
O (0.4105, 0.9926, 0.6994)  1 Ge 1.79, 1 Ga 1.85
O (0.0868, 0.7446, 0.6858)  1 Ge 1.78, 1 Ga 1.86
O (0.8647, 0.9421, 0.3769)  1 Ge 1.78, 1 Ga 1.88
O (0.8673, 0.5576, 0.3744)  1 Ge 1.78, 1 Ga 1.87
O (0.3081, 0.5639, 0.4103)  1 Ge 1.76, 1 Ga 1.87
O (0.4227, 0.5067, 0.6972)  1 Ge 1.77, 1 Ga 1.87
O (0.1353, 0.0579, 0.6231)  1 Ge 1.78, 1 Ga 1.88
O (0.6918, 0.0691, 0.5754)  1 Ge 1.78, 1 Ga 1.84
Ge (0.6968, 0.9373, 0.4357)  4 O 1.75-1.79
Ge (0.4169, 0.5631, 0.2652)  4 O 1.76-1.78
Ge (0.3032, 0.0627, 0.5643)  4 O 1.75-1.79
Ge (0.1968, 0.0627, 0.0643)  4 O 1.75-1.79
Ge (0.9169, 0.4369, 0.2348)  4 O 1.76-1.78
Ge (0.8032, 0.9373, 0.9357)  4 O 1.75-1.79
Ge (0.0831, 0.5631, 0.7652)  4 O 1.76-1.78
Ge (0.5831, 0.4369, 0.7348)  4 O 1.76-1.78

Values from the calculation:
corrected total energy (MP2020 scheme): -354.96 eV/cell
energy: -6.40 eV/atom
polymorph energy (0 for the lowest one): 0 meV per atom
formation enthalpy at 0 K: -2.46 eV per atom
symmetry: P2_1/c (14)

---

[3]
VASP calculation (PBE) on a relaxed UTeO5 crystal.

Unit cell a=10.4307 b=5.5595 c=7.8526 alpha=90.00 beta=90.00 gamma=90.00
Closest atoms and distances in Å follow each position.
Sites, in units of the cell vectors:
Te (0.2508, 0.3565, 0.7521)  4 O 1.93-2.10
Te (0.7508, 0.6435, 0.7521)  4 O 1.93-2.10
Te (0.2492, 0.3565, 0.2521)  4 O 1.93-2.10
Te (0.7492, 0.6435, 0.2521)  4 O 1.93-2.10
O (0.7928, 0.7343, 0.5052)  2 Te 2.05-2.10
O (0.1079, 0.1368, 0.7293)  1 Te 1.94
O (0.3868, 0.7636, 0.5146)  1 U 1.81
O (0.5848, 0.3024, 0.5038)  1 U 1.83
O (0.6030, 0.8526, 0.2842)  1 Te 1.93
O (0.6079, 0.8632, 0.7293)  1 Te 1.94
O (0.4152, 0.6976, 0.0038)  1 U 1.83
O (0.8921, 0.8632, 0.2293)  1 Te 1.94
O (0.1030, 0.1474, 0.2842)  1 Te 1.93
O (0.3970, 0.1474, 0.7842)  1 Te 1.93
O (0.0848, 0.6976, 0.5038)  1 U 1.83
O (0.3921, 0.1368, 0.2293)  1 Te 1.94
O (0.7072, 0.7343, 0.0052)  2 Te 2.05-2.10
O (0.8868, 0.2364, 0.5146)  1 U 1.81
O (0.9152, 0.3024, 0.0038)  1 U 1.83
O (0.1132, 0.7636, 0.0146)  1 U 1.81
O (0.8970, 0.8526, 0.7842)  1 Te 1.93
O (0.6132, 0.2364, 0.0146)  1 U 1.81
O (0.2072, 0.2657, 0.0052)  2 Te 2.05-2.10
O (0.2928, 0.2657, 0.5052)  2 Te 2.05-2.10
U (0.5149, 0.9679, 0.0069)  2 O 1.81-1.83
U (0.9851, 0.9679, 0.5069)  2 O 1.81-1.83
U (0.0149, 0.0321, 0.0069)  2 O 1.81-1.83
U (0.4851, 0.0321, 0.5069)  2 O 1.81-1.83

Values from the calculation:
corrected total energy (MP2020 scheme): -232.41 eV/cell
energy: -7.81 eV/atom
formation enthalpy at 0 K: -2.70 eV per atom
symmetry: Pca2_1 (29)

---

[4]
VASP calculation (PBE) on a relaxed DyPaO3 crystal.

Unit cell a=4.3080 b=4.3080 c=4.3080 alpha=90.00 beta=90.00 gamma=90.00
Closest atoms and distances in Å follow each position.
Sites, in units of the cell vectors:
O (0.0000, 0.0000, 0.5000)  2 Dy 2.15
O (0.0000, 0.5000, 0.0000)  2 Dy 2.15
O (0.5000, 0.0000, 0.0000)  2 Dy 2.15
Dy (0.0000, 0.0000, 0.0000)  6 O 2.15
Pa (0.5000, 0.5000, 0.5000)  12 O 3.05

Values from the calculation:
corrected total energy (MP2020 scheme): -43.11 eV/cell
energy: -8.21 eV/atom
formation enthalpy at 0 K: -2.83 eV per atom
symmetry: Pm-3m (221)

---

[5]
VASP calculation (PBE) on a relaxed Ca2O3 crystal.

Unit cell a=9.4741 b=9.4859 c=9.4878 alpha=101.57 beta=113.55 gamma=113.42
Closest atoms and distances in Å follow each position.
Sites, in units of the cell vectors:
Ca (0.9953, 0.4942, 0.4957)  6 O 2.33-2.44
Ca (0.7193, 0.9692, 0.2530)  6 O 2.31-2.37
Ca (0.9761, 0.7519, 0.2288)  6 O 2.32-2.37
Ca (0.7809, 0.5324, 0.7471)  6 O 2.32-2.35
Ca (0.2162, 0.4670, 0.2455)  6 O 2.32-2.35
Ca (0.0270, 0.2510, 0.7797)  6 O 2.31-2.36
Ca (0.5036, 0.0026, 0.5021)  6 O 2.34-2.48
Ca (0.9956, 0.9985, 0.9985)  6 O 2.33-2.46
Ca (0.7482, 0.7694, 0.5193)  6 O 2.35-2.38
Ca (0.5064, 0.5040, 0.0030)  6 O 2.30-2.45
Ca (0.4738, 0.7525, 0.7245)  6 O 2.31-2.37
Ca (0.2505, 0.7333, 0.9850)  6 O 2.31-2.39
Ca (0.2811, 0.0266, 0.7487)  6 O 2.31-2.35
Ca (0.7473, 0.2680, 0.0197)  6 O 2.33-2.43
Ca (0.2518, 0.2314, 0.4802)  6 O 2.32-2.41
Ca (0.5249, 0.2483, 0.2717)  6 O 2.32-2.38
O (0.9989, 0.4761, 0.7389)  4 Ca 2.34-2.39
O (0.2386, 0.9765, 0.4797)  4 Ca 2.33-2.37
O (0.2454, 0.4829, 0.5061)  4 Ca 2.33-2.38, 1 O 2.60
O (0.4706, 0.9794, 0.2388)  4 Ca 2.32-2.35
O (0.2613, 0.2644, 0.7431)  4 Ca 2.34-2.41
O (0.2360, 0.7639, 0.7438)  4 Ca 2.32-2.44
O (0.7606, 0.2272, 0.2577)  4 Ca 2.31-2.38
O (0.7514, 0.5044, 0.9727)  4 Ca 2.32-2.45
O (0.9750, 0.0040, 0.2449)  4 Ca 2.33-2.41
O (0.4665, 0.7224, 0.4704)  4 Ca 2.32-2.48
O (0.7418, 0.7330, 0.2639)  4 Ca 2.32-2.35
O (0.0048, 0.5254, 0.2616)  4 Ca 2.33-2.39
O (0.0293, 0.0006, 0.7550)  4 Ca 2.32-2.46
O (0.7701, 0.0301, 0.5259)  4 Ca 2.31-2.38
O (0.5294, 0.0220, 0.7626)  4 Ca 2.31-2.35
O (0.2624, 0.5053, 0.0273)  4 Ca 2.31-2.42
O (0.0248, 0.7637, 0.0089)  4 Ca 2.32-2.37, 1 O 2.60
O (0.5013, 0.7419, 0.9780)  4 Ca 2.33-2.37
O (0.9704, 0.2320, 0.9927)  4 Ca 2.31-2.37
O (0.4837, 0.2557, 0.0124)  4 Ca 2.30-2.43
O (0.2602, 0.2403, 0.2348)  4 Ca 2.33-2.38
O (0.5282, 0.2727, 0.5281)  4 Ca 2.32-2.43
O (0.7575, 0.5198, 0.4890)  4 Ca 2.34-2.37
O (0.7338, 0.7562, 0.7614)  4 Ca 2.33-2.38

Values from the calculation:
corrected total energy (MP2020 scheme): -248.13 eV/cell
energy: -5.79 eV/atom
formation enthalpy at 0 K: -2.43 eV per atom
symmetry: P1 (1)

---

[6]
VASP calculation (PBE) on a relaxed Sb2Te2Se crystal.

Unit cell a=10.5679 b=10.5679 c=10.5679 alpha=23.22 beta=23.22 gamma=23.22
Closest atoms and distances in Å follow each position.
Sites, in units of the cell vectors:
Se (0.2178, 0.2178, 0.2178)  3 Sb 2.86
Sb (0.5989, 0.5989, 0.5989)  3 Se 2.86, 3 Te 3.17
Sb (0.3977, 0.3977, 0.3977)  6 Te 3.02-3.21
Te (0.9975, 0.9975, 0.9975)  6 Sb 3.17-3.21
Te (0.7881, 0.7881, 0.7881)  3 Sb 3.02

Values from the calculation:
corrected total energy (MP2020 scheme): -19.30 eV/cell
energy: -3.77 eV/atom
polymorph energy (0 for the lowest one): 32 meV per atom
formation enthalpy at 0 K: -0.25 eV per atom
symmetry: R3m (160)